Model i:
Al2W3O12 | PBE with a Hubbard U | relaxed

Cell lengths 9.214, 9.313, 12.905 Å; angles 90.00, 90.06, 90.00 degrees
Positions (direct):
Al (0.004, 0.000, 0.136)
Al (0.005, 0.438, 0.365)
Al (0.494, 0.006, 0.872)
Al (0.495, 0.439, 0.628)
Al (0.505, 0.939, 0.372)
Al (0.506, 0.506, 0.128)
Al (0.995, 0.938, 0.635)
Al (0.996, 0.500, 0.864)
W (0.145, 0.089, 0.399)
W (0.147, 0.350, 0.102)
W (0.223, 0.220, 0.748)
W (0.272, 0.720, 0.749)
W (0.359, 0.588, 0.390)
W (0.360, 0.856, 0.109)
W (0.640, 0.356, 0.891)
W (0.641, 0.088, 0.610)
W (0.728, 0.220, 0.251)
W (0.777, 0.720, 0.252)
W (0.853, 0.850, 0.898)
W (0.855, 0.589, 0.601)
O (0.056, 0.983, 0.499)
O (0.064, 0.403, 0.222)
O (0.064, 0.451, 0.997)
O (0.069, 0.040, 0.276)
O (0.104, 0.345, 0.810)
O (0.116, 0.158, 0.087)
O (0.117, 0.085, 0.683)
O (0.117, 0.282, 0.414)
O (0.153, 0.805, 0.656)
O (0.159, 0.624, 0.841)
O (0.165, 0.564, 0.378)
O (0.165, 0.876, 0.119)
O (0.334, 0.314, 0.654)
O (0.335, 0.136, 0.847)
O (0.339, 0.057, 0.398)
O (0.341, 0.386, 0.106)
O (0.379, 0.851, 0.821)
O (0.388, 0.598, 0.679)
O (0.394, 0.776, 0.415)
O (0.396, 0.669, 0.083)
O (0.431, 0.476, 0.492)
O (0.431, 0.970, 0.007)
O (0.441, 0.905, 0.232)
O (0.444, 0.540, 0.269)
O (0.556, 0.040, 0.731)
O (0.559, 0.405, 0.768)
O (0.569, 0.470, 0.993)
O (0.569, 0.976, 0.508)
O (0.604, 0.169, 0.917)
O (0.606, 0.276, 0.585)
O (0.612, 0.098, 0.321)
O (0.621, 0.351, 0.179)
O (0.659, 0.886, 0.894)
O (0.661, 0.557, 0.602)
O (0.665, 0.636, 0.153)
O (0.666, 0.814, 0.346)
O (0.835, 0.064, 0.622)
O (0.835, 0.376, 0.881)
O (0.841, 0.124, 0.159)
O (0.847, 0.305, 0.344)
O (0.883, 0.585, 0.317)
O (0.883, 0.782, 0.586)
O (0.884, 0.658, 0.913)
O (0.896, 0.845, 0.190)
O (0.931, 0.540, 0.724)
O (0.936, 0.903, 0.778)
O (0.936, 0.951, 0.003)
O (0.944, 0.483, 0.501)

Output
Density   4.78 g/cm3
Symmetry   P2_1, No. 4

=====

Model ii:
Al2W3O12 | PBE with a Hubbard U | relaxed

Cell lengths 4.630, 5.496, 7.599 Å; angles 87.04, 88.19, 88.22 degrees
Positions (direct):
Al (0.002, 0.154, 0.338)
Al (0.998, 0.846, 0.662)
W (0.498, 0.354, 0.679)
W (0.500, 0.000, 0.000)
W (0.502, 0.646, 0.321)
O (0.198, 0.864, 0.436)
O (0.203, 0.564, 0.739)
O (0.210, 0.159, 0.127)
O (0.288, 0.053, 0.768)
O (0.302, 0.365, 0.436)
O (0.338, 0.689, 0.097)
O (0.662, 0.311, 0.903)
O (0.698, 0.635, 0.564)
O (0.712, 0.947, 0.232)
O (0.790, 0.841, 0.873)
O (0.797, 0.436, 0.261)
O (0.802, 0.136, 0.564)

Output
Density   6.86 g/cm3
Symmetry   P-1, No. 2

=====

Verdict on stability: model i comes out on top.

=====

Model i:
Na3CoBAsO7 | PBE with a Hubbard U | relaxed

Cell lengths 5.292, 11.388, 11.394 Å; angles 73.47, 89.11, 89.18 degrees
Positions (direct):
Na (0.239, 0.084, 0.334)
Na (0.242, 0.585, 0.835)
Na (0.242, 0.623, 0.122)
Na (0.243, 0.373, 0.373)
Na (0.244, 0.872, 0.872)
Na (0.245, 0.122, 0.622)
Na (0.755, 0.878, 0.378)
Na (0.756, 0.128, 0.128)
Na (0.757, 0.627, 0.627)
Na (0.758, 0.377, 0.878)
Na (0.758, 0.415, 0.165)
Na (0.761, 0.916, 0.666)
Co (0.224, 0.209, 0.959)
Co (0.224, 0.708, 0.458)
Co (0.776, 0.292, 0.542)
Co (0.776, 0.791, 0.041)
B (0.261, 0.343, 0.094)
B (0.262, 0.843, 0.593)
B (0.738, 0.157, 0.407)
B (0.739, 0.657, 0.906)
As (0.286, 0.413, 0.663)
As (0.287, 0.913, 0.163)
As (0.713, 0.087, 0.837)
As (0.714, 0.587, 0.337)
O (0.024, 0.312, 0.064)
O (0.025, 0.813, 0.562)
O (0.131, 0.331, 0.582)
O (0.131, 0.832, 0.081)
O (0.206, 0.567, 0.621)
O (0.209, 0.371, 0.817)
O (0.209, 0.870, 0.316)
O (0.211, 0.067, 0.121)
O (0.312, 0.416, 0.166)
O (0.314, 0.915, 0.665)
O (0.391, 0.107, 0.856)
O (0.392, 0.605, 0.357)
O (0.455, 0.289, 0.038)
O (0.455, 0.787, 0.538)
O (0.545, 0.213, 0.462)
O (0.545, 0.711, 0.962)
O (0.608, 0.395, 0.643)
O (0.609, 0.893, 0.144)
O (0.686, 0.085, 0.335)
O (0.688, 0.584, 0.834)
O (0.789, 0.933, 0.879)
O (0.791, 0.130, 0.684)
O (0.791, 0.629, 0.183)
O (0.794, 0.433, 0.379)
O (0.869, 0.168, 0.919)
O (0.869, 0.669, 0.418)
O (0.975, 0.187, 0.438)
O (0.976, 0.688, 0.936)

Output
Density   3.29 g/cm3
Symmetry   P-1, No. 2

=====

Model ii:
Na3CoBAsO7 | PBE with a Hubbard U | relaxed

Cell lengths 5.256, 9.051, 13.856 Å; angles 89.98, 89.97, 88.36 degrees
Positions (direct):
Na (0.233, 0.420, 0.128)
Na (0.241, 0.420, 0.623)
Na (0.242, 0.746, 0.748)
Na (0.243, 0.746, 0.501)
Na (0.254, 0.754, 0.254)
Na (0.254, 0.754, 0.997)
Na (0.746, 0.246, 0.003)
Na (0.746, 0.246, 0.746)
Na (0.757, 0.254, 0.499)
Na (0.758, 0.254, 0.252)
Na (0.759, 0.580, 0.377)
Na (0.767, 0.580, 0.872)
Co (0.214, 0.171, 0.875)
Co (0.228, 0.166, 0.375)
Co (0.772, 0.834, 0.625)
Co (0.786, 0.829, 0.125)
B (0.261, 0.438, 0.375)
B (0.276, 0.432, 0.875)
B (0.724, 0.568, 0.125)
B (0.739, 0.562, 0.625)
As (0.285, 0.076, 0.126)
As (0.285, 0.079, 0.624)
As (0.715, 0.921, 0.376)
As (0.715, 0.924, 0.874)
O (0.024, 0.374, 0.375)
O (0.040, 0.364, 0.876)
O (0.126, 0.913, 0.125)
O (0.130, 0.914, 0.625)
O (0.211, 0.193, 0.719)
O (0.214, 0.188, 0.525)
O (0.215, 0.192, 0.031)
O (0.216, 0.187, 0.225)
O (0.308, 0.583, 0.375)
O (0.309, 0.579, 0.875)
O (0.389, 0.962, 0.375)
O (0.391, 0.971, 0.875)
O (0.459, 0.327, 0.374)
O (0.469, 0.322, 0.875)
O (0.531, 0.678, 0.125)
O (0.541, 0.673, 0.626)
O (0.609, 0.029, 0.125)
O (0.611, 0.038, 0.625)
O (0.691, 0.421, 0.125)
O (0.692, 0.417, 0.625)
O (0.784, 0.813, 0.775)
O (0.785, 0.808, 0.969)
O (0.786, 0.812, 0.475)
O (0.789, 0.807, 0.281)
O (0.870, 0.086, 0.375)
O (0.874, 0.087, 0.875)
O (0.960, 0.636, 0.124)
O (0.976, 0.626, 0.625)

Output
Density   3.28 g/cm3
Symmetry   P-1, No. 2

=====

Verdict on stability: model i comes out on top.

=====

Model i:
Na3CoBAsO7 | PBE with a Hubbard U | relaxed

Cell lengths 8.651, 8.659, 9.097 Å; angles 90.97, 90.83, 104.82 degrees
Positions (direct):
Na (0.000, 0.000, 0.000)
Na (0.003, 0.497, 0.492)
Na (0.250, 0.748, 0.999)
Na (0.254, 0.250, 0.489)
Na (0.374, 0.619, 0.326)
Na (0.387, 0.134, 0.159)
Na (0.498, 0.498, 0.000)
Na (0.504, 0.999, 0.491)
Na (0.749, 0.247, 0.997)
Na (0.751, 0.752, 0.490)
Na (0.869, 0.120, 0.326)
Na (0.881, 0.629, 0.165)
Co (0.107, 0.853, 0.573)
Co (0.140, 0.389, 0.909)
Co (0.615, 0.361, 0.576)
Co (0.640, 0.889, 0.909)
B (0.121, 0.369, 0.180)
B (0.140, 0.887, 0.313)
B (0.622, 0.870, 0.180)
B (0.635, 0.382, 0.306)
As (0.357, 0.104, 0.816)
As (0.395, 0.639, 0.667)
As (0.861, 0.610, 0.821)
As (0.892, 0.142, 0.667)
O (0.022, 0.769, 0.379)
O (0.023, 0.274, 0.067)
O (0.053, 0.306, 0.706)
O (0.094, 0.341, 0.324)
O (0.159, 0.908, 0.168)
O (0.197, 0.941, 0.773)
O (0.235, 0.980, 0.425)
O (0.241, 0.487, 0.120)
O (0.259, 0.694, 0.553)
O (0.295, 0.238, 0.929)
O (0.318, 0.562, 0.831)
O (0.438, 0.186, 0.656)
O (0.458, 0.504, 0.557)
O (0.493, 0.047, 0.930)
O (0.518, 0.262, 0.368)
O (0.523, 0.774, 0.068)
O (0.554, 0.803, 0.706)
O (0.597, 0.843, 0.324)
O (0.657, 0.406, 0.161)
O (0.701, 0.448, 0.781)
O (0.732, 0.482, 0.416)
O (0.741, 0.988, 0.119)
O (0.754, 0.202, 0.558)
O (0.802, 0.746, 0.932)
O (0.816, 0.065, 0.831)
O (0.937, 0.685, 0.656)
O (0.951, 0.009, 0.553)
O (0.999, 0.553, 0.933)

Output
Density   3.28 g/cm3
Symmetry   P1, No. 1

=====

Model ii:
Na3CoBAsO7 | PBE with a Hubbard U | relaxed

Cell lengths 5.314, 6.825, 9.115 Å; angles 89.91, 88.44, 89.76 degrees
Positions (direct):
Na (0.000, 0.000, 0.000)
Na (0.000, 0.497, 0.000)
Na (0.002, 0.251, 0.674)
Na (0.511, 0.998, 0.509)
Na (0.513, 0.498, 0.509)
Na (0.520, 0.747, 0.832)
Co (0.532, 0.249, 0.089)
Co (0.985, 0.752, 0.424)
B (0.035, 0.747, 0.692)
B (0.498, 0.248, 0.819)
As (0.043, 0.250, 0.332)
As (0.471, 0.749, 0.181)
O (0.063, 0.748, 0.839)
O (0.148, 0.751, 0.224)
O (0.234, 0.747, 0.589)
O (0.303, 0.248, 0.929)
O (0.364, 0.249, 0.292)
O (0.447, 0.247, 0.675)
O (0.544, 0.553, 0.068)
O (0.546, 0.944, 0.068)
O (0.625, 0.750, 0.342)
O (0.734, 0.250, 0.880)
O (0.801, 0.744, 0.623)
O (0.886, 0.249, 0.169)
O (0.966, 0.444, 0.444)
O (0.972, 0.053, 0.444)

Output
Density   3.27 g/cm3
Symmetry   P1, No. 1

=====

Verdict on stability: model i comes out on top.